1.
VASP calculation (PBE) on an optimized crystal structure of Ag3SbS3.

Values from the calculation:
ΔH_f (0 K) ... -0.321 eV per atom
Mass density ... 4.899 Mg/m³
Volume ... 367.1 Å³/cell
SG ... R3c, No. 161
E above lowest polymorph ... 0.20 eV/f.u.

abc: 7.603 7.603 7.603
angles: 106.89 106.89 106.89
Fractional positions:
Ag 0.960 0.453 0.381
Ag 0.453 0.381 0.960
Ag 0.953 0.460 0.881
Ag 0.881 0.953 0.460
Ag 0.381 0.960 0.453
Ag 0.460 0.881 0.953
Sb 0.402 0.402 0.402
Sb 0.902 0.902 0.902
S 0.683 0.575 0.323
S 0.183 0.823 0.075
S 0.075 0.183 0.823
S 0.323 0.683 0.575
S 0.575 0.323 0.683
S 0.823 0.075 0.183


2.
VASP calculation (PBE) on an optimized crystal structure of Na3LaTaSi2PO12.

Values from the calculation:
ΔH_f (0 K) ... -2.989 eV per atom
Mass density ... 3.849 Mg/m³
Volume ... 3458.3 Å³/cell
E above lowest polymorph ... 0.00 eV/f.u.

abc: 16.442 28.267 9.186
angles: 90.00 125.90 90.00
Fractional positions:
Na 0.494 0.030 0.758
Na 0.738 0.088 0.003
Na 0.238 0.921 0.001
Na 0.188 0.695 0.788
Na 0.322 0.524 0.706
Na 0.238 0.412 0.503
Na 0.247 0.257 0.997
Na 0.747 0.243 0.497
Na 0.494 0.970 0.258
Na 0.822 0.024 0.706
Na 0.497 0.636 0.266
Na 0.747 0.757 0.997
Na 0.188 0.305 0.288
Na 0.323 0.143 0.204
Na 0.247 0.743 0.497
Na 0.238 0.588 0.003
Na 0.688 0.195 0.788
Na 0.822 0.976 0.206
Na 0.997 0.136 0.266
Na 0.738 0.421 0.001
Na 0.238 0.079 0.501
Na 0.997 0.864 0.766
Na 0.323 0.857 0.704
Na 0.688 0.805 0.288
Na 0.497 0.364 0.766
Na 0.994 0.470 0.258
Na 0.494 0.303 0.259
Na 0.823 0.357 0.704
Na 0.322 0.476 0.206
Na 0.738 0.579 0.501
Na 0.994 0.803 0.259
Na 0.494 0.697 0.759
Na 0.738 0.912 0.503
Na 0.994 0.530 0.758
Na 0.994 0.197 0.759
Na 0.823 0.643 0.204
O 0.965 0.563 0.439
O 0.078 0.647 0.430
O 0.949 0.716 0.269
O 0.336 0.316 0.253
O 0.578 0.853 0.930
O 0.638 0.047 0.419
O 0.843 0.515 0.742
O 0.753 0.434 0.751
O 0.320 0.279 0.554
O 0.820 0.221 0.054
O 0.449 0.452 0.771
O 0.338 0.650 0.243
O 0.143 0.134 0.252
O 0.540 0.042 0.059
O 0.634 0.379 0.417
O 0.578 0.147 0.430
O 0.540 0.958 0.559
O 0.095 0.289 0.749
O 0.965 0.437 0.939
O 0.040 0.458 0.559
O 0.755 0.900 0.257
O 0.741 0.711 0.252
O 0.643 0.366 0.752
O 0.641 0.967 0.251
O 0.233 0.120 0.743
O 0.253 0.934 0.751
O 0.133 0.214 0.409
O 0.143 0.866 0.752
O 0.465 0.063 0.439
O 0.596 0.543 0.251
O 0.233 0.880 0.243
O 0.134 0.121 0.917
O 0.604 0.875 0.257
O 0.044 0.790 0.558
O 0.956 0.612 0.766
O 0.569 0.476 0.412
O 0.949 0.284 0.769
O 0.452 0.152 0.091
O 0.733 0.620 0.743
O 0.446 0.512 0.574
O 0.096 0.957 0.751
O 0.456 0.112 0.766
O 0.567 0.811 0.402
O 0.067 0.311 0.402
O 0.753 0.566 0.251
O 0.449 0.173 0.564
O 0.458 0.270 0.914
O 0.035 0.125 0.556
O 0.449 0.784 0.769
O 0.733 0.380 0.243
O 0.067 0.689 0.902
O 0.446 0.488 0.074
O 0.946 0.988 0.074
O 0.748 0.769 0.741
O 0.336 0.684 0.753
O 0.239 0.541 0.245
O 0.241 0.211 0.252
O 0.638 0.953 0.919
O 0.836 0.184 0.753
O 0.338 0.350 0.743
O 0.035 0.875 0.056
O 0.838 0.105 0.594
O 0.952 0.348 0.591
O 0.104 0.625 0.757
O 0.838 0.850 0.743
O 0.840 0.567 0.095
O 0.836 0.816 0.253
O 0.338 0.395 0.094
O 0.134 0.879 0.417
O 0.138 0.547 0.419
O 0.449 0.548 0.271
O 0.340 0.933 0.595
O 0.449 0.216 0.269
O 0.040 0.542 0.059
O 0.567 0.189 0.902
O 0.141 0.467 0.251
O 0.638 0.302 0.242
O 0.253 0.066 0.251
O 0.638 0.698 0.742
O 0.463 0.394 0.443
O 0.044 0.210 0.058
O 0.095 0.711 0.249
O 0.458 0.730 0.414
O 0.078 0.353 0.930
O 0.104 0.375 0.257
O 0.133 0.786 0.909
O 0.239 0.459 0.745
O 0.138 0.802 0.242
O 0.843 0.485 0.242
O 0.755 0.100 0.757
O 0.604 0.125 0.757
O 0.096 0.043 0.251
O 0.643 0.634 0.252
O 0.952 0.652 0.091
O 0.633 0.714 0.409
O 0.956 0.388 0.266
O 0.641 0.033 0.751
O 0.958 0.770 0.914
O 0.449 0.827 0.064
O 0.452 0.848 0.591
O 0.241 0.789 0.752
O 0.595 0.789 0.749
O 0.949 0.327 0.064
O 0.741 0.289 0.752
O 0.465 0.937 0.939
O 0.069 0.976 0.412
O 0.840 0.433 0.595
O 0.739 0.959 0.745
O 0.138 0.453 0.919
O 0.946 0.012 0.574
O 0.340 0.067 0.095
O 0.569 0.524 0.912
O 0.544 0.290 0.558
O 0.838 0.150 0.243
O 0.535 0.625 0.556
O 0.739 0.041 0.245
O 0.320 0.721 0.054
O 0.343 0.015 0.742
O 0.963 0.106 0.943
O 0.748 0.231 0.241
O 0.544 0.710 0.058
O 0.949 0.048 0.271
O 0.596 0.457 0.751
O 0.255 0.400 0.257
O 0.248 0.269 0.741
O 0.595 0.211 0.249
O 0.963 0.894 0.443
O 0.138 0.198 0.742
O 0.949 0.673 0.564
O 0.820 0.779 0.554
O 0.535 0.375 0.056
O 0.343 0.985 0.242
O 0.463 0.606 0.943
O 0.838 0.895 0.094
O 0.141 0.533 0.751
O 0.069 0.024 0.912
O 0.949 0.952 0.771
O 0.456 0.888 0.266
O 0.634 0.621 0.917
O 0.248 0.731 0.241
O 0.338 0.605 0.594
O 0.255 0.600 0.757
O 0.633 0.286 0.909
O 0.958 0.230 0.414
Ta 0.105 0.248 0.562
Ta 0.107 0.418 0.065
Ta 0.607 0.417 0.565
Ta 0.605 0.748 0.562
Ta 0.107 0.582 0.565
Ta 0.607 0.583 0.065
Ta 0.607 0.082 0.565
Ta 0.107 0.917 0.565
Ta 0.105 0.752 0.062
Ta 0.605 0.252 0.062
Ta 0.607 0.918 0.065
Ta 0.107 0.083 0.065
Si 0.342 0.292 0.745
Si 0.848 0.542 0.258
Si 0.348 0.958 0.758
Si 0.640 0.638 0.739
Si 0.645 0.307 0.745
Si 0.348 0.042 0.258
Si 0.640 0.362 0.239
Si 0.849 0.873 0.265
Si 0.642 0.027 0.240
Si 0.142 0.473 0.740
Si 0.642 0.973 0.740
Si 0.849 0.127 0.765
Si 0.140 0.862 0.239
Si 0.342 0.708 0.245
Si 0.848 0.458 0.758
Si 0.142 0.527 0.240
Si 0.842 0.208 0.245
Si 0.645 0.693 0.245
Si 0.140 0.138 0.739
Si 0.842 0.792 0.745
Si 0.145 0.807 0.745
Si 0.349 0.373 0.265
Si 0.145 0.193 0.245
Si 0.349 0.627 0.765
P 0.016 0.350 0.249
P 0.015 0.014 0.251
P 0.516 0.150 0.749
P 0.515 0.514 0.251
P 0.018 0.318 0.758
P 0.516 0.850 0.249
P 0.518 0.818 0.758
P 0.515 0.486 0.751
P 0.016 0.650 0.749
P 0.015 0.986 0.751
P 0.018 0.682 0.258
P 0.518 0.182 0.258
La 0.390 0.415 0.931
La 0.390 0.084 0.925
La 0.902 0.252 0.955
La 0.390 0.916 0.425
La 0.890 0.416 0.425
La 0.890 0.584 0.925
La 0.402 0.248 0.455
La 0.890 0.915 0.931
La 0.902 0.748 0.455
La 0.890 0.085 0.431
La 0.390 0.585 0.431
La 0.402 0.752 0.955


3.
VASP calculation (PBE) on an optimized crystal structure of Ba2Ti6N2O11.

Values from the calculation:
ΔH_f (0 K) ... -3.151 eV per atom
Mass density ... 4.556 Mg/m³
Volume ... 279.1 Å³/cell
SG ... Cm, No. 8
E above lowest polymorph ... 0.20 eV/f.u.

abc: 8.007 8.007 9.277
angles: 82.40 82.40 28.27
Fractional positions:
O 0.875 0.875 0.609
O 0.167 0.167 0.092
O 0.925 0.925 0.296
O 0.832 0.832 0.911
O 0.132 0.132 0.383
O 0.756 0.756 0.246
O 0.074 0.074 0.697
O 0.702 0.702 0.571
O 0.243 0.243 0.750
O 0.298 0.298 0.429
O 0.358 0.358 0.117
Ti 0.884 0.884 0.088
Ti 0.750 0.750 0.780
Ti 0.831 0.831 0.440
Ti 0.171 0.171 0.561
Ti 0.239 0.239 0.228
Ti 0.114 0.114 0.906
N 0.998 0.998 0.000
N 0.640 0.640 0.889
Ba 0.448 0.448 0.764
Ba 0.548 0.548 0.225